PBE KTiO3, optimized geometry; electronic total energy = -7.01 eV/atom; space-group type = P6_3/mmc
1.0
-4.9259 2.4654 1.8115
0.2707 -5.7470 -0.7232
2.8602 -1.0183 9.1631
O K Ti
12 4 4
Direct
0.0000 0.5000 0.5000
0.5000 0.0000 0.0000
0.8048 0.1952 0.7500
0.5000 0.0000 0.5000
0.1952 0.3903 0.2500
0.0000 0.5000 0.0000
0.5000 0.5000 0.5000
0.6097 0.8048 0.2500
0.5000 0.5000 0.0000
0.1952 0.8048 0.2500
0.3903 0.1952 0.7500
0.8048 0.6097 0.7500
0.0000 0.0000 0.0000
0.6667 0.3333 0.2500
0.0000 0.0000 0.5000
0.3333 0.6667 0.7500
0.6667 0.3333 0.9060
0.3333 0.6667 0.0940
0.6667 0.3333 0.5940
0.3333 0.6667 0.4060

=====

PBE Ce4ThO10, optimized geometry; excess energy over the best structure of this formula in the dataset = 0.0000 eV/atom; space-group type = I4/mmm
1.0
-1.9427 1.9427 13.7295
1.9427 -1.9427 13.7295
1.9427 1.9427 -13.7295
O Ce Th
10 4 1
Direct
0.4484 0.9484 0.5000
0.0516 0.5516 0.5000
0.1510 0.6510 0.5000
0.8490 0.3490 0.5000
0.2500 0.7500 0.5000
0.3490 0.8490 0.5000
0.7500 0.2500 0.5000
0.9484 0.4484 0.5000
0.6510 0.1510 0.5000
0.5516 0.0516 0.5000
0.6015 0.6015 0.0000
0.7995 0.7995 0.0000
0.3985 0.3985 0.0000
0.2005 0.2005 0.0000
0.0000 0.0000 0.0000

=====

PBE K2GdAuCl6, optimized geometry; electronic total energy = -4.70 eV/atom; space-group type = Fm-3m
1.0
6.9185 2.9489 1.2740
1.3946 3.8008 6.4649
4.5289 -3.0588 5.3215
Cl Gd K Au
6 1 2 1
Direct
0.7535 0.2465 0.7535
0.2465 0.7535 0.7535
0.7535 0.7535 0.2465
0.2465 0.2465 0.7535
0.7535 0.2465 0.2465
0.2465 0.7535 0.2465
0.0000 0.0000 0.0000
0.7500 0.7500 0.7500
0.2500 0.2500 0.2500
0.5000 0.5000 0.5000

=====

PBE BaSi2, optimized geometry; electronic total energy = -4.60 eV/atom; space-group type = P4_332
1.0
-1.9460 5.5234 3.3996
-5.4769 -3.3006 2.2275
3.4740 -2.1095 5.4161
Si Ba
8 4
Direct
0.0819 0.5819 0.9181
0.1681 0.3319 0.6681
0.4181 0.4181 0.4181
0.6681 0.1681 0.3319
0.3319 0.6681 0.1681
0.5819 0.9181 0.0819
0.9181 0.0819 0.5819
0.8319 0.8319 0.8319
0.3750 0.8750 0.6250
0.1250 0.1250 0.1250
0.8750 0.6250 0.3750
0.6250 0.3750 0.8750

=====

PBE NpGe3, optimized geometry; electronic total energy = -6.91 eV/atom; space-group type = Pm-3m
1.0
4.2289 0.0000 0.0000
0.0000 4.2289 0.0000
0.0000 0.0000 4.2289
Ge Np
3 1
Direct
0.5000 0.5000 0.0000
0.5000 0.0000 0.5000
0.0000 0.5000 0.5000
0.0000 0.0000 0.0000

=====

PBE LuAl8Cu4, optimized geometry; electronic total energy = -4.20 eV/atom; space-group type = I4/mmm
1.0
-2.3892 -2.9905 5.5546
-2.6278 3.7317 -4.9672
1.3580 -5.5542 -3.5793
Al Cu Lu
8 4 1
Direct
0.5000 0.2829 0.7829
0.5000 0.7171 0.2171
0.0000 0.6531 0.6531
0.0000 0.3469 0.3469
0.3469 0.0000 0.3469
0.7171 0.5000 0.2171
0.6531 0.0000 0.6531
0.2829 0.5000 0.7829
0.0000 0.5000 0.0000
0.0000 0.0000 0.5000
0.5000 0.5000 0.5000
0.5000 0.0000 0.0000
0.0000 0.0000 0.0000

=====

PBE Ba2TmMgCu3O7, optimized geometry; excess energy over the best structure of this formula in the dataset = 0.0922 eV/atom; space-group type = Pmm2
1.0
-1.0630 2.7615 -2.3119
-0.2417 -2.7008 -3.1149
-12.4919 -2.3158 2.9773
O Ba Tm Mg Cu
7 2 1 1 3
Direct
0.0000 0.5935 0.0000
0.0000 0.0640 0.8540
0.0000 0.0640 0.1460
0.0000 0.4671 0.6088
0.5000 0.9716 0.6092
0.5000 0.9716 0.3908
0.0000 0.4671 0.3912
0.5000 0.4433 0.2304
0.5000 0.4433 0.7696
0.5000 0.4641 0.5000
0.5000 0.7312 0.0000
0.0000 0.9648 0.3912
0.0000 0.9648 0.6088
0.0000 0.1229 0.0000

=====

PBE EuInPt, optimized geometry; electronic total energy = -7.20 eV/atom; space-group type = Pnma
1.0
4.5116 0.0000 0.0000
0.0000 7.4639 0.0000
0.0000 0.0000 8.5764
In Eu Pt
4 4 4
Direct
0.7500 0.8524 0.0643
0.2500 0.1476 0.9357
0.7500 0.3524 0.4357
0.2500 0.6476 0.5643
0.2500 0.5325 0.1778
0.2500 0.0325 0.3222
0.7500 0.9675 0.6778
0.7500 0.4675 0.8222
0.2500 0.7698 0.8772
0.7500 0.2302 0.1228
0.7500 0.7302 0.3772
0.2500 0.2698 0.6228

=====

PBE MgO, optimized geometry; electronic total energy = -5.66 eV/atom; space-group type = P1
1.0
-1.4886 4.0406 8.2778
-10.1479 1.6468 -2.4377
-1.1289 -8.9497 4.2738
Mg O
40 40
Direct
0.0670 0.3065 0.8474
0.7041 0.8632 0.8768
0.9673 0.0560 0.8488
0.9491 0.1226 0.4177
0.6137 0.7406 0.5950
0.4664 0.9166 0.1369
0.4739 0.2829 0.6510
0.3584 0.4287 0.3279
0.7836 0.2782 0.9100
0.0914 0.7882 0.7665
0.4172 0.7933 0.7994
0.9138 0.3212 0.2785
0.5509 0.2852 0.1309
0.0191 0.4714 0.5156
0.7794 0.0773 0.1249
0.8791 0.5292 0.0973
0.3986 0.7214 0.3886
0.5611 0.6057 0.1615
0.5516 0.1478 0.3852
0.2874 0.5474 0.6559
0.0617 0.8345 0.4606
0.1830 0.0464 0.6283
0.2453 0.7571 0.0681
0.2310 0.2315 0.1284
0.1312 0.5712 0.2377
0.1090 0.0043 0.2292
0.0958 0.5718 0.8865
0.9063 0.7854 0.0876
0.5850 0.5151 0.8450
0.4632 0.9606 0.5895
0.8170 0.9482 0.6019
0.3557 0.3894 0.9699
0.7735 0.2420 0.6071
0.8021 0.6395 0.3698
0.3015 0.0357 0.9355
0.7248 0.9109 0.3388
0.2403 0.2234 0.4201
0.5905 0.4799 0.5178
0.5752 0.0857 0.8589
0.8416 0.6325 0.7436
0.7579 0.6782 0.1732
0.6093 0.2986 0.4974
0.6398 0.6850 0.8114
0.8570 0.8102 0.4484
0.5500 0.8497 0.4346
0.7752 0.0538 0.9297
0.5048 0.9261 0.9437
0.9083 0.9531 0.2025
0.6128 0.0264 0.2266
0.5226 0.5451 0.3441
0.3146 0.9609 0.7412
0.8999 0.4483 0.9093
0.6290 0.2434 0.7751
0.9287 0.2006 0.7434
0.4188 0.7395 0.1707
0.0615 0.6520 0.0822
0.0829 0.1935 0.2654
0.4033 0.7068 0.6041
0.2541 0.9498 0.1002
0.7685 0.2717 0.1317
0.5519 0.4537 0.0210
0.4177 0.2006 0.9881
0.4738 0.4673 0.6884
0.2209 0.4222 0.8317
0.2455 0.7131 0.8700
0.7635 0.0710 0.4803
0.0494 0.6011 0.6836
0.1224 0.1570 0.9500
0.4018 0.2422 0.2786
0.6382 0.9216 0.6995
0.3685 0.1338 0.5509
0.9218 0.3064 0.4788
0.9085 0.7859 0.8857
0.1204 0.0146 0.4355
0.9440 0.5033 0.2903
0.2523 0.4254 0.1519
0.7575 0.5908 0.5549
0.0183 0.9319 0.6764
0.2274 0.4179 0.4836
0.1890 0.7067 0.3717

=====

PBE Li2PdAu, optimized geometry; electronic total energy = -3.57 eV/atom; space-group type = Fm-3m
1.0
1.5240 -3.0514 2.6411
-1.4976 -0.3056 4.0340
-2.5051 -3.3271 1.1245
Au Pd Li
1 1 2
Direct
0.5000 0.5000 0.5000
0.0000 0.0000 0.0000
0.7500 0.7500 0.7500
0.2500 0.2500 0.2500

=====

PBE HfUN2, optimized geometry; electronic total energy = -11.05 eV/atom; space-group type = R-3m
1.0
5.7117 -1.6298 0.0000
5.7117 1.6298 0.0000
5.2467 0.0000 2.7843
N U Hf
2 1 1
Direct
0.2582 0.2582 0.2582
0.7418 0.7418 0.7418
0.5000 0.5000 0.5000
0.0000 0.0000 0.0000

=====

PBE GdB3O6, optimized geometry; excess energy over the best structure of this formula in the dataset = 0.0220 eV/atom; space-group type = C2/c
1.0
0.8477 -3.9099 4.9739
1.5184 -5.4227 -3.0056
5.7998 -2.3195 0.9272
B O Gd
6 12 2
Direct
0.8367 0.7064 0.5909
0.2936 0.1633 0.9091
0.7064 0.8367 0.0909
0.2759 0.7241 0.2500
0.7241 0.2759 0.7500
0.1633 0.2936 0.4091
0.0814 0.7169 0.4954
0.5124 0.2810 0.7063
0.2831 0.9186 0.0046
0.2810 0.5124 0.2063
0.9186 0.2831 0.5046
0.4876 0.7190 0.2937
0.2976 0.1152 0.4889
0.8848 0.7024 0.0111
0.7169 0.0814 0.9954
0.7190 0.4876 0.7937
0.1152 0.2976 0.9889
0.7024 0.8848 0.5111
0.7087 0.2913 0.2500
0.2913 0.7087 0.7500